(1)
Material: H2Ru6C17O17
Method: DFT, PBE
State: optimized geometry

Lattice parameters (Å, degrees): 8.231 11.164 15.522 93.47 98.11 109.38
Space group P-1 (No. 2)
Inequivalent atoms, fractional coordinates:
1 H 0.080 0.276 0.238 [2 per cell]
2 H 0.340 0.298 0.366 [2 per cell]
3 Ru 0.111 0.163 0.328 [2 per cell]
4 Ru 0.205 0.249 0.152 [2 per cell]
5 Ru 0.228 0.416 0.322 [2 per cell]
6 Ru 0.240 0.020 0.219 [2 per cell]
7 Ru 0.463 0.502 0.210 [2 per cell]
8 Ru 0.483 0.276 0.289 [2 per cell]
9 C 0.007 0.108 0.093 [2 per cell]
10 C 0.038 0.881 0.169 [2 per cell]
11 C 0.048 0.294 0.405 [2 per cell]
12 C 0.096 0.516 0.285 [2 per cell]
13 C 0.099 0.359 0.094 [2 per cell]
14 C 0.116 0.952 0.710 [2 per cell]
15 C 0.145 0.061 0.415 [2 per cell]
16 C 0.307 0.913 0.294 [2 per cell]
17 C 0.339 0.239 0.064 [2 per cell]
18 C 0.340 0.577 0.642 [2 per cell]
19 C 0.360 0.613 0.156 [2 per cell]
20 C 0.364 0.356 0.720 [2 per cell]
21 C 0.367 0.551 0.406 [2 per cell]
22 C 0.372 0.743 0.791 [2 per cell]
23 C 0.375 0.990 0.135 [2 per cell]
24 C 0.394 0.497 0.877 [2 per cell]
25 C 0.459 0.834 0.630 [2 per cell]
26 O 0.013 0.577 0.259 [2 per cell]
27 O 0.016 0.410 0.055 [2 per cell]
28 O 0.031 0.691 0.541 [2 per cell]
29 O 0.081 0.208 0.862 [2 per cell]
30 O 0.117 0.960 0.953 [2 per cell]
31 O 0.168 0.001 0.471 [2 per cell]
32 O 0.226 0.502 0.594 [2 per cell]
33 O 0.258 0.021 0.735 [2 per cell]
34 O 0.258 0.269 0.678 [2 per cell]
35 O 0.273 0.751 0.837 [2 per cell]
36 O 0.300 0.684 0.126 [2 per cell]
37 O 0.308 0.492 0.930 [2 per cell]
38 O 0.347 0.842 0.337 [2 per cell]
39 O 0.408 0.887 0.576 [2 per cell]
40 O 0.413 0.234 0.006 [2 per cell]
41 O 0.457 0.636 0.457 [2 per cell]
42 O 0.458 0.967 0.087 [2 per cell]

Energy relative to the elements ... -869 meV per atom
Total magnetic moment ... 0.00 μB/f.u.
Electronic total energy ... -7.816 eV/atom


(2)
Material: ScH15C3S3O12
Method: DFT, PBE
State: optimized geometry

Lattice parameters (Å, degrees): 14.1946 14.1946 25.7994 90.00 90.00 120.00
Space group R-3 (No. 148, hexagonal axes)
Inequivalent atoms, fractional coordinates:
1 Sc 0.0000 0.0000 0.0000 [3 per cell]
2 Sc 0.0000 0.0000 0.2312 [6 per cell]
3 Sc 0.0000 0.0000 0.5000 [3 per cell]
4 H 0.0104 0.1401 0.5799 [18 per cell]
5 H 0.0112 0.6537 0.5219 [18 per cell]
6 H 0.0247 0.3956 0.9795 [18 per cell]
7 H 0.0262 0.8647 0.0714 [18 per cell]
8 H 0.0295 0.7298 0.6252 [18 per cell]
9 H 0.0563 0.7814 0.7999 [18 per cell]
10 H 0.0700 0.2310 0.3575 [18 per cell]
11 H 0.0754 0.8357 0.8648 [18 per cell]
12 H 0.0830 0.8722 0.4606 [18 per cell]
13 H 0.0877 0.2115 0.9588 [18 per cell]
14 C 0.0062 0.2464 0.3433 [18 per cell]
15 C 0.0236 0.7672 0.8394 [18 per cell]
16 S 0.0910 0.5296 0.8297 [18 per cell]
17 S 0.0983 0.8761 0.6834 [18 per cell]
18 O 0.0041 0.5108 0.8663 [18 per cell]
19 O 0.0074 0.4868 0.3729 [18 per cell]
20 O 0.0262 0.8932 0.4536 [18 per cell]
21 O 0.0280 0.1345 0.9534 [18 per cell]
22 O 0.0411 0.1820 0.6425 [18 per cell]
23 O 0.0438 0.9048 0.7252 [18 per cell]
24 O 0.0485 0.9135 0.1820 [18 per cell]
25 O 0.0720 0.5539 0.7765 [18 per cell]

Energy relative to the elements ... -1267 meV per atom
Total magnetic moment ... 0.10 μB/f.u.
Electronic total energy ... -5.634 eV/atom


(3)
Material: UH12C4S3O8
Method: DFT, PBE
State: optimized geometry

Lattice parameters (Å, degrees): 13.178 8.076 12.357 90.00 95.34 90.00
Space group P2_1/c (No. 14)
Inequivalent atoms, fractional coordinates:
1 U 0.217 0.242 0.366 [4 per cell]
2 H 0.016 0.221 0.057 [4 per cell]
3 H 0.056 0.614 0.628 [4 per cell]
4 H 0.061 0.731 0.833 [4 per cell]
5 H 0.075 0.610 0.955 [4 per cell]
6 H 0.148 0.720 0.141 [4 per cell]
7 H 0.190 0.570 0.664 [4 per cell]
8 H 0.387 0.664 0.391 [4 per cell]
9 H 0.389 0.728 0.700 [4 per cell]
10 H 0.408 0.511 0.667 [4 per cell]
11 H 0.419 0.713 0.011 [4 per cell]
12 H 0.483 0.233 0.073 [4 per cell]
13 H 0.485 0.136 0.782 [4 per cell]
14 C 0.058 0.733 0.921 [4 per cell]
15 C 0.135 0.650 0.617 [4 per cell]
16 C 0.433 0.615 0.721 [4 per cell]
17 C 0.436 0.738 0.928 [4 per cell]
18 S 0.159 0.635 0.478 [4 per cell]
19 S 0.262 0.103 0.643 [4 per cell]
20 S 0.414 0.547 0.856 [4 per cell]
21 O 0.097 0.153 0.311 [4 per cell]
22 O 0.125 0.043 0.942 [4 per cell]
23 O 0.192 0.123 0.539 [4 per cell]
24 O 0.201 0.030 0.728 [4 per cell]
25 O 0.291 0.228 0.188 [4 per cell]
26 O 0.296 0.520 0.851 [4 per cell]
27 O 0.336 0.168 0.924 [4 per cell]
28 O 0.350 0.003 0.623 [4 per cell]

Energy relative to the elements ... -1054 meV per atom
Total magnetic moment ... 0.00 μB/f.u.
Electronic total energy ... -5.890 eV/atom


(4)
Material: SbHC2O5
Method: DFT, PBE
State: optimized geometry

Lattice parameters (Å, degrees): 6.030 6.496 11.376 90.00 90.00 90.00
Space group P2_12_12_1 (No. 19)
Inequivalent atoms, fractional coordinates:
1 Sb 0.072 0.016 0.000 [4 per cell]
2 H 0.103 0.397 0.036 [4 per cell]
3 C 0.144 0.051 0.273 [4 per cell]
4 C 0.144 0.052 0.726 [4 per cell]
5 O 0.002 0.603 0.700 [4 per cell]
6 O 0.002 0.606 0.299 [4 per cell]
7 O 0.128 0.073 0.385 [4 per cell]
8 O 0.133 0.083 0.616 [4 per cell]
9 O 0.211 0.299 0.002 [4 per cell]

Energy relative to the elements ... -1530 meV per atom
Total magnetic moment ... 0.00 μB/f.u.
Electronic total energy ... -6.784 eV/atom